{
  "formula": "Ti3O5",
  "functional": "meta-GGA r2SCAN",
  "state": "optimized geometry",
  "lattice": [[-0.219, 4.991, 0.714], [-4.795, -2.513, -1.738], [0.849, -0.976, 7.084]],
  "species": ["Ti", "Ti", "Ti", "Ti", "Ti", "Ti", "O", "O", "O", "O", "O", "O", "O", "O", "O", "O"],
  "frac_coords": [[0.861, 0.741, 0.779], [0.879, 0.741, 0.279], [0.114, 0.257, 0.718], [0.142, 0.257, 0.218], [0.504, 0.003, 0.504], [0.499, 0.003, 0.004], [0.150, 0.621, 0.845], [0.310, 0.999, 0.251], [0.923, 0.161, 0.441], [0.238, 0.160, 0.941], [0.848, 0.378, 0.155], [0.079, 0.841, 0.558], [0.689, 0.999, 0.751], [0.529, 0.378, 0.655], [0.763, 0.841, 0.058], [0.471, 0.621, 0.345]],
  "dft_energy_ev_per_atom": -11.80,
  "ef_ev_per_atom": -3.215,
  "e_above_lowest_polymorph_mev_per_atom": 1.5,
  "spacegroup": "Cc"
}